Record 1
The following is a PBE calculation of a relaxed RbLiMg14 crystal, from the Materials Project database.

Unit cell a=6.574 b=6.389 c=10.805 alpha=90.00 beta=90.00 gamma=119.07
Atoms (fractional coordinates):
Mg  0.165  0.833  0.625
Mg  0.823  0.661  0.392
Mg  0.834  0.167  0.371
Mg  0.664  0.335  0.125
Mg  0.834  0.167  0.879
Mg  0.342  0.177  0.393
Mg  0.342  0.177  0.857
Mg  0.342  0.665  0.393
Mg  0.664  0.829  0.125
Mg  0.163  0.331  0.625
Mg  0.667  0.835  0.625
Mg  0.823  0.661  0.858
Li  0.168  0.334  0.125
Mg  0.667  0.331  0.625
Mg  0.342  0.665  0.857
Rb  0.164  0.832  0.125

Properties
VASP energy: -1.455 eV/atom
Volume: 24.79 Å³/atom
Total moment: 0.0 μB per formula unit
Energy above the most stable polymorph in this dataset: 0.00 eV per formula unit


Record 2
The following is a PBE calculation of a relaxed La3YHf4O14 crystal, from the Materials Project database.

Unit cell a=7.556 b=7.556 c=7.556 alpha=58.61 beta=58.61 gamma=58.61
Atoms (fractional coordinates):
O  0.373  0.373  0.875
Hf  0.500  0.000  0.000
Y  0.500  0.500  0.500
O  0.125  0.627  0.627
O  0.868  0.868  0.868
O  0.627  0.125  0.627
La  0.500  0.500  0.000
Hf  0.000  0.000  0.000
O  0.359  0.892  0.892
O  0.132  0.132  0.132
O  0.892  0.892  0.359
O  0.108  0.108  0.641
La  0.500  0.000  0.500
Hf  0.000  0.500  0.000
La  0.000  0.500  0.500
O  0.641  0.108  0.108
O  0.892  0.359  0.892
O  0.875  0.373  0.373
O  0.627  0.627  0.125
Hf  0.000  0.000  0.500
O  0.108  0.641  0.108
O  0.373  0.875  0.373

Properties
VASP energy: -9.107 eV/atom
Volume: 13.43 Å³/atom
Corrected total energy (MP2020 scheme): -210.0 eV per cell
Total moment: 0.0 μB per formula unit


Record 3
The following is a PBE calculation of a relaxed Li3H2N2 crystal, from the Materials Project database.

Unit cell a=4.933 b=5.072 c=6.039 alpha=114.83 beta=114.10 gamma=90.00
Atoms (fractional coordinates):
H  0.311  0.697  0.872
N  0.085  0.619  0.727
Li  0.000  0.003  0.000
Li  0.000  0.503  0.000
H  0.439  0.325  0.128
N  0.358  0.392  0.273
N  0.642  0.119  0.727
Li  0.748  0.254  0.494
Li  0.253  0.260  0.506
H  0.689  0.825  0.128
Li  0.747  0.754  0.494
N  0.915  0.892  0.273
H  0.561  0.197  0.872
Li  0.252  0.760  0.506

Properties
VASP energy: -4.455 eV/atom
Volume: 8.75 Å³/atom
Corrected total energy (MP2020 scheme): -63.8 eV per cell
Total moment: 1.0 μB per formula unit


Which value of volume does entry 1 give?
24.79 Å³/atom